# 1
The following is a DFT calculation (GGA-PBE) of a relaxed structure of Y5Si3H.

For the magnetic moment, the calculation gives 0.00 μB/cell.

It has space group P6_3/mcm (No. 193), with a = 8.4748 Å, b = 8.4748 Å, c = 6.2480 Å, α = 90.00°, β = 90.00° and γ = 120.00°. The inequivalent atoms are Y at (0.0000, 0.2501, 0.2500), Y at (0.3333, 0.6667, 0.0000), Si at (0.0000, 0.3888, 0.7500) and H at (0.0000, 0.0000, 0.0000).

---

# 2
The following is a DFT calculation (GGA-PBE) of a relaxed structure of U3O8.

Its energy above the most stable polymorph in this dataset is 0 meV/atom.

It has space group P-62m (No. 189), with a = 6.8390 Å, b = 6.8390 Å, c = 4.1607 Å, α = 90.00°, β = 90.00° and γ = 120.00°. The inequivalent atoms are U at (0.0000, 0.3512, 0.0000), O at (0.0000, 0.3577, 0.5000), O at (0.0000, 0.7483, 0.0000) and O at (0.3333, 0.6667, 0.0000).

---

# 3
The following is a DFT calculation (GGA-PBE) of a relaxed structure of TmSi2.

For the magnetic moment, the calculation gives 0.00 μB/cell.

It has space group P6/mmm (No. 191), with a = 4.0800 Å, b = 4.0800 Å, c = 3.8579 Å, α = 90.00°, β = 90.00° and γ = 120.00°. The inequivalent atoms are Tm at (0.0000, 0.0000, 0.0000) and Si at (0.3333, 0.6667, 0.5000).

---

# 4
The following is a DFT calculation (GGA-PBE) of a relaxed structure of Cs2YTlBr6.

For the magnetic moment, the calculation gives 0.00 μB/cell.

It has space group Fm-3m (No. 225), with a = 12.044 Å, b = 12.044 Å, c = 12.044 Å, α = 90.00°, β = 90.00° and γ = 90.00°. The inequivalent atoms are Cs at (0.250, 0.250, 0.250), Y at (0.000, 0.000, 0.000), Tl at (0.000, 0.000, 0.500) and Br at (0.000, 0.000, 0.233).

---

Computed values of calculated formation energy (unit: eV/atom) for the preceding records, in sequence: -0.7507; -3.7068; -0.4228; -2.0058.
Computed values of corrected total energy (MP2020 scheme) (unit: eV for the cell shown) for the preceding records, in sequence: -117.5; -114.2; -16.6; -162.0.